The following is a DFT calculation (PBE) of an optimized crystal structure of SiH21C6N2OF5.

calculated total energy: -5.267 eV/atom
energy of formation: -0.82 eV per atom

a b c (Å): 7.9585 13.6160 11.1452
angles (deg): 90.00 96.63 90.00
Positions (direct):
Si: 0.1852 0.0705 0.1917
Si: 0.1852 0.4295 0.6917
Si: 0.8148 0.5705 0.3083
Si: 0.8148 0.9295 0.8083
H: 0.0038 0.5755 0.8777
H: 0.0038 0.9245 0.3777
H: 0.0871 0.1018 0.4841
H: 0.0871 0.3982 0.9841
H: 0.0876 0.1945 0.5989
H: 0.0876 0.3055 0.0989
H: 0.0954 0.5949 0.5171
H: 0.0954 0.9051 0.0171
H: 0.1199 0.7457 0.6143
H: 0.1199 0.7543 0.1143
H: 0.1520 0.6495 0.7234
H: 0.1520 0.8505 0.2234
H: 0.1742 0.5622 0.1732
H: 0.1742 0.9378 0.6732
H: 0.2208 0.7248 0.4195
H: 0.2208 0.7752 0.9195
H: 0.2371 0.1622 0.9257
H: 0.2371 0.3378 0.4257
H: 0.2626 0.2421 0.8276
H: 0.2626 0.2579 0.3276
H: 0.2706 0.5493 0.0353
H: 0.2706 0.9507 0.5353
H: 0.2719 0.1017 0.7305
H: 0.2719 0.3983 0.2305
H: 0.2942 0.6079 0.3759
H: 0.2942 0.8921 0.8759
H: 0.3314 0.7152 0.6792
H: 0.3314 0.7848 0.1792
H: 0.3436 0.0175 0.0178
H: 0.3436 0.4825 0.5178
H: 0.3923 0.1171 0.4895
H: 0.3923 0.3829 0.9895
H: 0.3942 0.2095 0.6056
H: 0.3942 0.2905 0.1056
H: 0.4010 0.5519 0.1780
H: 0.4010 0.9481 0.6780
H: 0.4261 0.5445 0.6509
H: 0.4261 0.9555 0.1509
H: 0.4269 0.6812 0.4823
H: 0.4269 0.8188 0.9823
H: 0.4752 0.6014 0.8697
H: 0.4752 0.8986 0.3697
H: 0.5248 0.1014 0.6303
H: 0.5248 0.3986 0.1303
H: 0.5731 0.1812 0.0177
H: 0.5731 0.3188 0.5177
H: 0.5739 0.0445 0.8491
H: 0.5739 0.4555 0.3491
H: 0.5990 0.0519 0.3220
H: 0.5990 0.4481 0.8220
H: 0.6058 0.7095 0.8944
H: 0.6058 0.7905 0.3944
H: 0.6077 0.6171 0.0105
H: 0.6077 0.8829 0.5105
H: 0.6564 0.5175 0.4822
H: 0.6564 0.9825 0.9822
H: 0.6686 0.2152 0.8208
H: 0.6686 0.2848 0.3208
H: 0.7058 0.1079 0.1241
H: 0.7058 0.3921 0.6241
H: 0.7281 0.6017 0.7695
H: 0.7281 0.8983 0.2695
H: 0.7294 0.0493 0.4647
H: 0.7294 0.4507 0.9647
H: 0.7374 0.7421 0.6724
H: 0.7374 0.7579 0.1724
H: 0.7629 0.6622 0.5743
H: 0.7629 0.8378 0.0743
H: 0.7792 0.2248 0.0805
H: 0.7792 0.2752 0.5805
H: 0.8258 0.0622 0.3268
H: 0.8258 0.4378 0.8268
H: 0.8480 0.1495 0.7766
H: 0.8480 0.3505 0.2766
H: 0.8801 0.2457 0.8857
H: 0.8801 0.2543 0.3857
H: 0.9046 0.0949 0.9829
H: 0.9046 0.4051 0.4829
H: 0.9124 0.6945 0.9011
H: 0.9124 0.8055 0.4011
H: 0.9129 0.6018 0.0159
H: 0.9129 0.8982 0.5159
H: 0.9962 0.0755 0.6223
H: 0.9962 0.4245 0.1223
C: 0.0951 0.1154 0.5816
C: 0.0951 0.3846 0.0816
C: 0.2047 0.6864 0.6493
C: 0.2047 0.8136 0.1493
C: 0.2785 0.5292 0.1311
C: 0.2785 0.9708 0.6311
C: 0.2965 0.6604 0.4502
C: 0.2965 0.8396 0.9502
C: 0.3083 0.5209 0.5976
C: 0.3083 0.9791 0.0976
C: 0.4046 0.1309 0.5871
C: 0.4046 0.3691 0.0871
C: 0.5954 0.6309 0.9129
C: 0.5954 0.8691 0.4129
C: 0.6917 0.0209 0.9024
C: 0.6917 0.4791 0.4024
C: 0.7035 0.1604 0.0498
C: 0.7035 0.3396 0.5498
C: 0.7215 0.0292 0.3689
C: 0.7215 0.4708 0.8689
C: 0.7953 0.1864 0.8507
C: 0.7953 0.3136 0.3507
C: 0.9049 0.6154 0.9184
C: 0.9049 0.8846 0.4184
N: 0.2186 0.6134 0.5513
N: 0.2186 0.8866 0.0513
N: 0.2632 0.0798 0.6388
N: 0.2632 0.4202 0.1388
N: 0.7368 0.5798 0.8612
N: 0.7368 0.9202 0.3612
N: 0.7814 0.1134 0.9487
N: 0.7814 0.3866 0.4487
O: 0.3030 0.1773 0.8584
O: 0.3030 0.3227 0.3584
O: 0.6970 0.6773 0.6416
O: 0.6970 0.8227 0.1416
F: 0.0034 0.5067 0.3371
F: 0.0034 0.9933 0.8371
F: 0.0848 0.1566 0.2727
F: 0.0848 0.3434 0.7727
F: 0.1231 0.1417 0.0588
F: 0.1231 0.3583 0.5588
F: 0.2380 0.0049 0.3246
F: 0.2380 0.4951 0.8246
F: 0.3684 0.1396 0.2177
F: 0.3684 0.3604 0.7177
F: 0.6316 0.6396 0.2823
F: 0.6316 0.8604 0.7823
F: 0.7620 0.5049 0.1754
F: 0.7620 0.9951 0.6754
F: 0.8769 0.6417 0.4412
F: 0.8769 0.8583 0.9412
F: 0.9152 0.6566 0.2273
F: 0.9152 0.8434 0.7273
F: 0.9966 0.0067 0.1629
F: 0.9966 0.4933 0.6629